Na5Y3TiSi3S3O24: optimized geometry, PBE-GGA.

```
Na5Y3TiSi3S3O24
1.0
9.281 0.017 0.026
-4.625 8.002 -0.096
0.067 -0.246 23.370
Na Y Ti Si S O
15 9 3 9 9 72
Cartesian
6.021 0.047 6.045
6.415 4.920 5.739
2.964 4.962 17.365
3.377 -0.100 17.789
1.829 7.459 13.557
6.029 5.279 21.488
6.388 -0.065 21.370
7.525 2.362 9.606
3.355 5.402 9.943
-4.458 7.649 11.632
-4.373 7.611 23.218
4.593 2.313 19.454
4.755 2.441 7.857
-0.178 4.980 3.688
0.182 4.880 15.632
9.265 -0.031 8.257
0.098 -0.086 19.876
9.288 -0.108 15.248
0.023 -0.005 3.295
4.636 2.544 16.017
4.727 2.663 4.197
-0.044 5.388 0.369
0.037 5.261 12.032
-0.068 5.233 7.456
4.558 2.581 22.824
4.736 2.684 11.234
0.366 5.260 19.040
-1.368 2.351 5.838
1.383 2.301 17.539
1.899 7.825 17.514
3.335 4.922 13.586
5.999 4.999 1.858
2.837 5.123 21.413
-1.220 7.507 21.337
1.377 7.726 9.698
-2.804 5.217 9.718
-1.846 7.935 5.740
3.267 5.589 5.784
-3.101 5.460 17.499
7.361 2.533 13.534
3.317 0.256 13.566
6.018 0.311 1.890
1.983 2.650 1.832
-1.388 2.808 21.388
1.528 2.863 9.747
1.964 0.054 7.057
3.858 6.176 7.026
8.181 1.554 7.272
1.301 1.224 18.741
5.543 6.042 18.743
7.411 -0.044 18.950
2.783 7.503 16.160
0.756 1.643 16.181
-3.395 6.332 16.321
3.616 6.428 4.622
-0.794 1.486 4.586
-2.704 7.760 4.551
6.539 2.642 14.750
3.833 0.823 14.843
3.705 4.153 14.958
5.641 4.274 3.285
5.527 0.908 3.174
2.778 2.719 3.073
2.890 2.553 0.633
5.324 4.028 0.580
5.625 1.122 0.727
3.722 1.088 12.415
3.939 3.970 12.284
6.471 2.443 12.314
1.862 5.335 22.641
-0.833 3.362 22.625
-1.039 6.521 22.591
1.216 6.660 10.920
0.890 3.461 10.932
-1.797 5.317 10.956
-1.995 4.840 8.336
0.795 7.120 8.284
1.296 3.721 8.551
-1.073 3.636 20.210
-0.480 6.729 20.011
1.892 4.963 20.020
5.409 6.450 9.611
7.637 -0.028 9.706
0.934 1.523 9.581
8.387 1.419 21.325
-2.825 7.643 21.161
3.882 6.355 21.246
8.133 1.254 13.570
1.846 0.096 13.613
4.009 6.422 13.473
5.260 6.454 1.771
7.506 0.226 1.949
1.153 1.415 1.850
5.420 1.013 17.459
3.008 2.612 17.435
5.570 4.133 17.357
3.845 4.223 5.692
6.232 2.479 5.813
3.675 1.116 5.729
3.774 3.719 21.597
6.369 2.729 21.509
4.214 0.968 21.677
5.328 1.221 10.097
3.007 2.761 9.902
5.516 3.839 10.004
1.129 3.839 1.756
-1.665 5.056 1.787
0.821 6.947 1.785
-0.651 6.913 13.406
1.703 5.105 13.491
-1.016 3.669 13.421
-0.976 6.710 5.835
1.790 5.534 5.896
-0.758 3.885 5.826
0.663 3.784 17.840
-1.636 5.379 17.637
0.979 6.390 17.685
```

Properties
* space-group type: P1 (1)
* magnetic moment: 0.0 μB per formula unit
* total energy: -823.3 eV per cell